VASP calculation (meta-GGA r2SCAN) on a relaxed Cs7Fe4F15 crystal.

Unit cell a=7.854 b=11.041 c=11.642 alpha=90.00 beta=92.20 gamma=90.00
Space group P2_1/c (No. 14)
One atom of each set of equivalent atoms:
Cs: 0.000 0.000 0.000 (multiplicity 2)
Cs: 0.155 0.154 0.306 (multiplicity 4)
Cs: 0.330 0.004 0.666 (multiplicity 4)
Cs: 0.495 0.181 0.028 (multiplicity 4)
Fe: 0.079 0.662 0.925 (multiplicity 4)
Fe: 0.262 0.672 0.727 (multiplicity 4)
F: 0.000 0.000 0.500 (multiplicity 2)
F: 0.014 0.599 0.752 (multiplicity 4)
F: 0.143 0.238 0.560 (multiplicity 4)
F: 0.175 0.736 0.080 (multiplicity 4)
F: 0.183 0.686 0.329 (multiplicity 4)
F: 0.315 0.591 0.898 (multiplicity 4)
F: 0.332 0.524 0.648 (multiplicity 4)
F: 0.497 0.750 0.223 (multiplicity 4)

VASP calculation (meta-GGA r2SCAN) on a relaxed Cs4KLiFe2F12 crystal.

Unit cell a=6.3253 b=6.3253 c=30.7396 alpha=90.00 beta=90.00 gamma=120.00
Space group R-3m (No. 166, hexagonal axes)
One atom of each set of equivalent atoms:
Cs: 0.0000 0.0000 0.1333 (multiplicity 6)
Cs: 0.0000 0.0000 0.2852 (multiplicity 6)
K: 0.0000 0.0000 0.0000 (multiplicity 3)
Li: 0.0000 0.0000 0.5000 (multiplicity 3)
Fe: 0.0000 0.0000 0.4160 (multiplicity 6)
F: 0.0413 0.5207 0.2851 (multiplicity 18)
F: 0.0558 0.5279 0.1235 (multiplicity 18)

VASP calculation (meta-GGA r2SCAN) on a relaxed CsGaNiF6 crystal.

Unit cell a=7.218 b=7.285 c=10.249 alpha=90.00 beta=90.00 gamma=90.00
Space group Imma (No. 74)
One atom of each set of equivalent atoms:
Cs: 0.000 0.250 0.120 (multiplicity 4)
Ga: 0.000 0.000 0.500 (multiplicity 4)
Ni: 0.250 0.250 0.750 (multiplicity 4)
F: 0.000 0.250 0.438 (multiplicity 4)
F: 0.000 0.250 0.826 (multiplicity 4)
F: 0.187 0.050 0.623 (multiplicity 16)

VASP calculation (meta-GGA r2SCAN) on a relaxed Cs3GeF7 crystal.

Unit cell a=8.341 b=8.341 c=6.251 alpha=90.00 beta=90.00 gamma=90.00
Space group P4/mbm (No. 127)
One atom of each set of equivalent atoms:
Cs: 0.000 0.000 0.000 (multiplicity 2)
Cs: 0.193 0.307 0.500 (multiplicity 4)
Ge: 0.000 0.500 0.000 (multiplicity 2)
F: 0.000 0.000 0.500 (multiplicity 2)
F: 0.108 0.608 0.207 (multiplicity 8)
F: 0.153 0.347 0.000 (multiplicity 4)

VASP calculation (meta-GGA r2SCAN) on a relaxed Cs2HfF6 crystal.

Unit cell a=6.3607 b=6.3607 c=4.9703 alpha=90.00 beta=90.00 gamma=120.00
Space group P-3m1 (No. 164)
One atom of each set of equivalent atoms:
Cs: 0.3333 0.6667 0.1955 (multiplicity 2)
Hf: 0.0000 0.0000 0.5000 (multiplicity 1)
F: 0.1511 0.3021 0.7215 (multiplicity 6)

VASP calculation (meta-GGA r2SCAN) on a relaxed Cs2HgF4 crystal.

Unit cell a=4.652 b=4.652 c=14.497 alpha=90.00 beta=90.00 gamma=90.00
Space group I4/mmm (No. 139)
One atom of each set of equivalent atoms:
Cs: 0.000 0.000 0.143 (multiplicity 4)
Hg: 0.000 0.000 0.500 (multiplicity 2)
F: 0.000 0.000 0.345 (multiplicity 4)
F: 0.000 0.500 0.000 (multiplicity 4)

VASP calculation (meta-GGA r2SCAN) on a relaxed CsInF3 crystal.

Unit cell a=9.386 b=9.386 c=9.386 alpha=90.00 beta=90.00 gamma=90.00
Space group Fm-3m (No. 225)
One atom of each set of equivalent atoms:
Cs: 0.250 0.250 0.250 (multiplicity 8)
In: 0.000 0.000 0.000 (multiplicity 4)
In: 0.000 0.000 0.500 (multiplicity 4)
F: 0.000 0.000 0.223 (multiplicity 24)

VASP calculation (meta-GGA r2SCAN) on a relaxed Cs2InSbF6 crystal.

Unit cell a=9.570 b=9.570 c=9.570 alpha=90.00 beta=90.00 gamma=90.00
Space group Fm-3m (No. 225)
One atom of each set of equivalent atoms:
Cs: 0.250 0.250 0.250 (multiplicity 8)
In: 0.000 0.000 0.000 (multiplicity 4)
Sb: 0.000 0.000 0.500 (multiplicity 4)
F: 0.000 0.000 0.271 (multiplicity 24)

VASP calculation (meta-GGA r2SCAN) on a relaxed Cs4K3U3Si4O20F crystal.

Unit cell a=7.811 b=22.354 c=14.207 alpha=90.00 beta=90.00 gamma=90.00
Space group Cmc2_1 (No. 36)
One atom of each set of equivalent atoms:
Cs: 0.245 0.213 0.000 (multiplicity 8)
Cs: 0.246 0.039 0.114 (multiplicity 8)
K: 0.000 0.119 0.552 (multiplicity 4)
K: 0.000 0.332 0.762 (multiplicity 4)
K: 0.000 0.415 0.345 (multiplicity 4)
U: 0.000 0.074 0.835 (multiplicity 4)
U: 0.000 0.175 0.288 (multiplicity 4)
U: 0.000 0.375 0.062 (multiplicity 4)
Si: 0.200 0.198 0.728 (multiplicity 8)
Si: 0.201 0.445 0.875 (multiplicity 8)
O: 0.000 0.054 0.708 (multiplicity 4)
O: 0.000 0.095 0.962 (multiplicity 4)
O: 0.000 0.156 0.161 (multiplicity 4)
O: 0.000 0.195 0.415 (multiplicity 4)
O: 0.000 0.215 0.699 (multiplicity 4)
O: 0.000 0.320 0.964 (multiplicity 4)
O: 0.000 0.432 0.158 (multiplicity 4)
O: 0.000 0.449 0.836 (multiplicity 4)
O: 0.195 0.147 0.809 (multiplicity 8)
O: 0.198 0.429 0.986 (multiplicity 8)
O: 0.203 0.105 0.311 (multiplicity 8)
O: 0.208 0.324 0.132 (multiplicity 8)
O: 0.212 0.241 0.267 (multiplicity 8)
O: 0.215 0.011 0.861 (multiplicity 8)
F: 0.000 0.375 0.555 (multiplicity 4)

VASP calculation (meta-GGA r2SCAN) on a relaxed CsK2PdF5 crystal.

Unit cell a=7.301 b=7.301 c=6.205 alpha=90.00 beta=90.00 gamma=90.00
Space group P4/mbm (No. 127)
One atom of each set of equivalent atoms:
Cs: 0.000 0.000 0.000 (multiplicity 2)
K: 0.175 0.325 0.500 (multiplicity 4)
Pd: 0.000 0.500 0.000 (multiplicity 2)
F: 0.000 0.000 0.500 (multiplicity 2)
F: 0.132 0.632 0.227 (multiplicity 8)

VASP calculation (meta-GGA r2SCAN) on a relaxed Cs2KRuF6 crystal.

Unit cell a=6.395 b=6.395 c=9.176 alpha=90.00 beta=90.00 gamma=90.00
Space group I4/mmm (No. 139)
One atom of each set of equivalent atoms:
Cs: 0.000 0.500 0.250 (multiplicity 4)
K: 0.000 0.000 0.000 (multiplicity 2)
Ru: 0.000 0.000 0.500 (multiplicity 2)
F: 0.000 0.000 0.276 (multiplicity 4)
F: 0.220 0.220 0.500 (multiplicity 8)

VASP calculation (meta-GGA r2SCAN) on a relaxed CsLiF2 crystal.

Unit cell a=5.984 b=11.624 c=8.095 alpha=90.00 beta=93.89 gamma=90.00
Space group C2/c (No. 15)
One atom of each set of equivalent atoms:
Cs: 0.238 0.092 0.431 (multiplicity 8)
Li: 0.246 0.200 0.862 (multiplicity 8)
F: 0.000 0.134 0.750 (multiplicity 4)
F: 0.000 0.321 0.250 (multiplicity 4)
F: 0.224 0.355 0.923 (multiplicity 8)

VASP calculation (meta-GGA r2SCAN) on a relaxed Cs3LiF4 crystal.

Unit cell a=13.653 b=6.034 c=8.866 alpha=90.00 beta=103.95 gamma=90.00
Space group C2/m (No. 12)
One atom of each set of equivalent atoms:
Cs: 0.072 0.000 0.233 (multiplicity 4)
Cs: 0.133 0.500 0.902 (multiplicity 4)
Cs: 0.190 0.000 0.647 (multiplicity 4)
Li: 0.080 0.500 0.458 (multiplicity 4)
F: 0.000 0.269 0.500 (multiplicity 4)
F: 0.088 0.500 0.247 (multiplicity 4)
F: 0.144 0.000 0.951 (multiplicity 4)
F: 0.204 0.500 0.605 (multiplicity 4)

VASP calculation (meta-GGA r2SCAN) on a relaxed Cs4Mg3F10 crystal.

Unit cell a=6.120 b=14.526 c=13.608 alpha=90.00 beta=90.00 gamma=90.00
Space group Cmce (No. 64)
One atom of each set of equivalent atoms:
Cs: 0.000 0.051 0.139 (multiplicity 8)
Cs: 0.000 0.246 0.392 (multiplicity 8)
Mg: 0.000 0.000 0.500 (multiplicity 4)
Mg: 0.000 0.117 0.657 (multiplicity 8)
F: 0.000 0.026 0.357 (multiplicity 8)
F: 0.000 0.248 0.649 (multiplicity 8)
F: 0.210 0.097 0.540 (multiplicity 16)
F: 0.250 0.110 0.750 (multiplicity 8)

no.,magnetization (μB per formula unit),energy of formation from the pure elements (eV/atom),E_tot (eV/f.u.)
1,16.0,-2.70,-350.58
2,10.0,-2.94,-233.98
3,2.0,-2.77,-92.19
4,0.0,-2.96,-143.65
5,0.0,-3.73,-147.69
6,0.0,-2.38,-128.73
7,0.0,-2.70,-70.59
8,0.0,-2.51,-142.32
9,0.0,-3.00,-620.82
10,0.0,-2.50,-98.24
11,1.0,-2.63,-126.76
12,0.0,-3.02,-45.82
13,0.0,-2.91,-113.52
14,0.0,-3.43,-202.44